A relaxed structure of LaMg6Zn, computed with GGA-PBE.

Lattice parameters (Å, degrees): 5.072 6.722 11.585 90.00 90.00 90.00
Fractional positions:
1 Zn 0.000 0.000 0.837
2 Zn 0.000 0.500 0.337
3 Mg 0.000 0.766 0.076
4 Mg 0.500 0.000 0.163
5 Mg 0.500 0.760 0.921
6 Mg 0.000 0.234 0.076
7 Mg 0.000 0.266 0.576
8 Mg 0.500 0.740 0.421
9 Mg 0.000 0.500 0.832
10 Mg 0.500 0.240 0.921
11 Mg 0.000 0.000 0.332
12 Mg 0.500 0.500 0.663
13 Mg 0.000 0.734 0.576
14 Mg 0.500 0.260 0.421
15 La 0.500 0.500 0.174
16 La 0.500 0.000 0.674

ρ: 2.9 g/cm³
distance to the lowest polymorph of the same formula: 16 meV/atom

***

A relaxed structure of LaMg6Zn, computed with GGA-PBE.

Lattice parameters (Å, degrees): 6.921 6.921 5.124 90.00 90.00 126.40
Fractional positions:
1 Mg 0.680 0.834 0.000
2 Mg 0.150 0.850 0.000
3 Mg 0.690 0.310 0.000
4 Mg 0.319 0.184 0.500
5 Mg 0.166 0.320 0.000
6 Mg 0.816 0.681 0.500
7 La 0.313 0.687 0.500
8 Zn 0.866 0.134 0.500

ρ: 2.9 g/cm³
distance to the lowest polymorph of the same formula: 0 meV/atom

***

A relaxed structure of LaMg6Zr, computed with GGA-PBE.

Lattice parameters (Å, degrees): 5.172 6.643 11.576 90.00 90.00 90.00
Fractional positions:
1 Mg 0.500 0.739 0.421
2 Mg 0.000 0.740 0.577
3 Mg 0.000 0.240 0.077
4 Mg 0.500 0.239 0.921
5 Mg 0.000 0.760 0.077
6 Mg 0.500 0.261 0.421
7 Mg 0.000 0.000 0.334
8 Mg 0.500 0.761 0.921
9 Mg 0.500 0.000 0.165
10 Mg 0.500 0.500 0.665
11 Mg 0.000 0.500 0.834
12 Mg 0.000 0.260 0.577
13 Zr 0.000 0.500 0.325
14 Zr 0.000 0.000 0.825
15 La 0.500 0.500 0.180
16 La 0.500 0.000 0.680

ρ: 3.1 g/cm³
distance to the lowest polymorph of the same formula: 0 meV/atom

***

A relaxed structure of LaMg6Zr, computed with GGA-PBE.

Lattice parameters (Å, degrees): 5.265 6.504 11.707 90.00 90.00 90.00
Fractional positions:
1 Mg 0.000 0.738 0.583
2 Mg 0.000 0.500 0.830
3 Mg 0.000 0.262 0.583
4 Mg 0.000 0.000 0.840
5 Mg 0.000 0.762 0.083
6 Mg 0.000 0.000 0.330
7 Mg 0.500 0.250 0.418
8 Mg 0.000 0.500 0.340
9 Mg 0.000 0.238 0.083
10 Mg 0.500 0.750 0.418
11 Mg 0.500 0.750 0.918
12 Mg 0.500 0.250 0.918
13 Zr 0.500 0.500 0.662
14 Zr 0.500 0.000 0.162
15 La 0.500 0.000 0.667
16 La 0.500 0.500 0.167

ρ: 3.1 g/cm³
distance to the lowest polymorph of the same formula: 9 meV/atom

***

A relaxed structure of LaMnN3, computed with GGA-PBE.

Lattice parameters (Å, degrees): 5.816 5.816 7.092 62.65 62.65 40.94
Fractional positions:
1 Mn 0.541 0.541 0.313
2 Mn 0.459 0.459 0.687
3 N 0.073 0.759 0.878
4 N 0.759 0.073 0.878
5 N 0.927 0.241 0.122
6 N 0.642 0.642 0.465
7 N 0.241 0.927 0.122
8 N 0.358 0.358 0.535
9 La 0.720 0.720 0.762
10 La 0.280 0.280 0.238

ρ: 5.7 g/cm³

***

A relaxed structure of LaMnN3, computed with GGA-PBE.

Lattice parameters (Å, degrees): 6.430 6.430 5.327 90.00 90.00 143.38
Fractional positions:
1 Mn 0.907 0.093 0.750
2 Mn 0.093 0.907 0.250
3 La 0.631 0.369 0.750
4 La 0.369 0.631 0.250
5 N 0.000 0.000 0.000
6 N 0.534 0.148 0.250
7 N 0.148 0.534 0.750
8 N 0.466 0.852 0.750
9 N 0.852 0.466 0.250
10 N 0.000 0.000 0.500

ρ: 6.0 g/cm³

***

A relaxed structure of LaMn2Ni3, computed with GGA-PBE.

Lattice parameters (Å, degrees): 5.194 5.194 3.997 90.00 90.00 120.00
Fractional positions:
1 Ni 0.500 0.000 0.500
2 Ni 0.500 0.500 0.500
3 Ni 0.000 0.500 0.500
4 La 0.000 0.000 0.000
5 Mn 0.667 0.333 0.000
6 Mn 0.333 0.667 0.000

ρ: 7.6 g/cm³

***

A relaxed structure of LaMnNi4, computed with GGA-PBE.

Lattice parameters (Å, degrees): 5.074 5.074 4.009 90.00 90.00 120.00
Fractional positions:
1 Ni 0.000 0.000 0.000
2 Ni 0.331 0.165 0.500
3 Ni 0.835 0.165 0.500
4 Ni 0.835 0.669 0.500
5 La 0.333 0.667 0.000
6 Mn 0.667 0.333 0.000

ρ: 8.0 g/cm³

***

A relaxed structure of La5MnPb3, computed with GGA-PBE.

Lattice parameters (Å, degrees): 9.787 9.787 7.072 90.00 90.00 120.00
Fractional positions:
1 La 0.667 0.333 0.000
2 La 0.251 0.000 0.250
3 La 0.749 0.749 0.250
4 La 0.000 0.251 0.250
5 La 0.333 0.667 0.000
6 La 0.749 0.000 0.750
7 La 0.667 0.333 0.500
8 La 0.000 0.749 0.750
9 La 0.251 0.251 0.750
10 La 0.333 0.667 0.500
11 Pb 0.606 0.606 0.750
12 Pb 0.000 0.606 0.250
13 Pb 0.394 0.000 0.750
14 Pb 0.606 0.000 0.250
15 Pb 0.000 0.394 0.750
16 Pb 0.394 0.394 0.250
17 Mn 0.000 0.000 0.500
18 Mn 0.000 0.000 0.000

ρ: 7.8 g/cm³

***

A relaxed structure of LaPrMn4Si4, computed with GGA-PBE.

Lattice parameters (Å, degrees): 3.997 3.997 10.588 90.00 90.00 90.00
Fractional positions:
1 Mn 0.000 0.500 0.749
2 Mn 0.500 0.000 0.749
3 Mn 0.500 0.000 0.251
4 Mn 0.000 0.500 0.251
5 Si 0.500 0.500 0.129
6 Si 0.500 0.500 0.871
7 Si 0.000 0.000 0.374
8 Si 0.000 0.000 0.626
9 La 0.000 0.000 0.000
10 Pr 0.500 0.500 0.500

ρ: 6.0 g/cm³

***

A relaxed structure of La3MnS5, computed with GGA-PBE.

Lattice parameters (Å, degrees): 8.157 8.157 6.942 90.00 90.00 120.00
Fractional positions:
1 S 0.760 0.000 0.750
2 S 0.000 0.240 0.250
3 S 0.240 0.000 0.250
4 S 0.333 0.667 0.000
5 S 0.760 0.760 0.250
6 S 0.240 0.240 0.750
7 S 0.667 0.333 0.500
8 S 0.000 0.760 0.750
9 S 0.333 0.667 0.500
10 S 0.667 0.333 0.000
11 La 0.398 0.398 0.250
12 La 0.000 0.602 0.250
13 La 0.000 0.398 0.750
14 La 0.602 0.602 0.750
15 La 0.602 0.000 0.250
16 La 0.398 0.000 0.750
17 Mn 0.000 0.000 0.500
18 Mn 0.000 0.000 0.000

ρ: 5.2 g/cm³

***

A relaxed structure of LaMnSi, computed with GGA-PBE.

Lattice parameters (Å, degrees): 4.018 4.018 7.703 90.00 90.00 90.00
Fractional positions:
1 Si 0.500 0.000 0.175
2 Si 0.000 0.500 0.825
3 Mn 0.500 0.500 0.000
4 Mn 0.000 0.000 0.000
5 La 0.500 0.000 0.679
6 La 0.000 0.500 0.321

ρ: 5.9 g/cm³

***

no.,ΔH_f (0 K) (eV/atom),uncorrected energy (eV/atom),volume (Å³/cell)
1,0.00,-1.9753,395.0
2,-0.02,-1.9910,197.5
3,0.09,-2.8005,397.8
4,0.09,-2.7914,400.9
5,-0.91,-8.5128,137.0
6,-0.89,-8.4992,131.4
7,-0.16,-6.9280,93.4
8,-0.22,-6.4212,89.4
9,-0.37,-5.3640,586.7
10,-0.52,-7.3583,169.1
11,-2.06,-6.7398,400.1
12,-0.48,-7.0090,124.4